The following is a DFT calculation (PBE-GGA) of a relaxed structure of CrCuH18Br5N6.

abc: 23.422 23.422 23.422
angles: 90.00 90.00 90.00
Space group Fd-3c (No. 228, origin choice 2)
Symmetry-distinct sites (fractional):
Cr  0.000  0.000  0.000 [32 per cell]
Cu  0.000  0.000  0.250 [32 per cell]
H  0.002  0.300  0.354 [192 per cell]
H  0.034  0.084  0.932 [192 per cell]
H  0.037  0.307  0.840 [192 per cell]
Br  0.000  0.078  0.828 [96 per cell]
Br  0.061  0.061  0.189 [64 per cell]
N  0.029  0.299  0.319 [192 per cell]

Results
The formation energy comes out at -0.572 eV/atom. The value obtained for the density is 2.6 g cm⁻³. As for the total energy: -4.79 eV/atom.

***

The following is a DFT calculation (PBE-GGA) of a relaxed structure of CrInBr3.

abc: 4.296 15.155 9.532
angles: 90.00 96.14 90.00
Space group P2_1/c (No. 14)
Symmetry-distinct sites (fractional):
Cr  0.231  0.048  0.160 [4 per cell]
In  0.243  0.665  0.965 [4 per cell]
Br  0.200  0.599  0.529 [4 per cell]
Br  0.252  0.198  0.274 [4 per cell]
Br  0.308  0.007  0.674 [4 per cell]

Results
The formation energy comes out at -0.975 eV/atom. The value obtained for the density is 4.4 g cm⁻³. As for the total energy: -4.12 eV/atom.